1.
Density functional theory data (GGA+U) for crystalline Sr2LiZrCrO6 at its relaxed geometry.

ΔE to the lowest computed polymorph = 0 kJ/mol of formula units
Crystal system = orthorhombic
Space-group type = Immm, No. 71
E = -7.20 eV/atom
E_form = -282.1 kJ per mole of atoms

Cell lengths 5.9198, 5.7654, 5.7012 Å; angles 90.00, 118.78, 119.14 degrees
Closest atoms and distances in Å follow each position.
Sites, in units of the cell vectors:
Sr: 0.4030 0.2015 0.7015  1 Li 2.58, 6 O 2.69-2.88
Sr: 0.5970 0.7985 0.2985  1 Li 2.58, 6 O 2.69-2.88
Li: 0.0000 0.5000 0.0000  4 O 2.01
Zr: 0.0000 0.5000 0.5000  6 O 2.07-2.18
Cr: 0.0000 0.0000 0.0000  6 O 1.98-2.14
O: 0.0000 0.2465 0.2418  1 Cr 1.98, 1 Li 2.01, 1 Zr 2.07
O: 0.0000 0.7535 0.7582  1 Cr 1.98, 1 Li 2.01, 1 Zr 2.07
O: 0.4955 0.2477 0.2477  1 Cr 2.14, 1 Zr 2.18
O: 0.5045 0.7523 0.7523  1 Cr 2.14, 1 Zr 2.18
O: 0.0000 0.7535 0.2417  1 Cr 1.98, 1 Li 2.01, 1 Zr 2.07
O: 0.0000 0.2465 0.7583  1 Cr 1.98, 1 Li 2.01, 1 Zr 2.07


2.
Density functional theory data (GGA+U) for crystalline Li9Mn2Co5O16 at its relaxed geometry.

ΔE to the lowest computed polymorph = 136 kJ/mol of formula units
Crystal system = monoclinic
Space-group type = P2/m, No. 10
E = -5.81 eV/atom
E_form = -175.6 kJ per mole of atoms

Cell lengths 2.8877, 5.1509, 19.3038 Å; angles 83.55, 90.00, 90.00 degrees
Closest atoms and distances in Å follow each position.
Sites, in units of the cell vectors:
Li: 0.5000 0.6314 0.6214  6 O 2.01-2.21
Li: 0.0000 0.7464 0.7508  6 O 2.09-2.26
Li: 0.5000 0.8753 0.8747  6 O 2.10-2.17
Li: 0.0000 0.0000 0.0000  6 O 2.12-2.17
Li: 0.5000 0.1247 0.1253  6 O 2.10-2.17
Li: 0.0000 0.5000 0.5000  6 O 2.16-2.32
Li: 0.5000 0.3686 0.3786  6 O 2.01-2.21
Li: 0.0000 0.2536 0.2492  6 O 2.09-2.26
Li: 0.5000 0.0000 0.5000  6 O 2.07-2.15
Mn: 0.0000 0.1130 0.6218  5 O 1.83-1.97
Mn: 0.0000 0.8870 0.3782  5 O 1.83-1.97
Co: 0.5000 0.2498 0.7504  6 O 1.96-2.14
Co: 0.0000 0.3723 0.8744  6 O 1.99-2.09
Co: 0.5000 0.5000 0.0000  6 O 1.94-2.14
Co: 0.0000 0.6277 0.1256  6 O 1.99-2.09
Co: 0.5000 0.7502 0.2496  6 O 1.96-2.14
O: 0.5000 0.2980 0.5694  2 Mn 1.95, 4 Li 2.08-2.16
O: 0.0000 0.3989 0.6894  2 Co 1.96, 1 Mn 2.07
O: 0.5000 0.5540 0.8157  3 Co 2.00-2.12, 3 Li 2.09-2.11
O: 0.0000 0.6598 0.9430  3 Co 1.94-2.09, 3 Li 2.17
O: 0.5000 0.8037 0.0668  3 Co 1.99-2.14, 3 Li 2.10-2.12
O: 0.0000 0.1590 0.4313  1 Mn 1.83, 2 Li 2.01
O: 0.5000 0.0467 0.3188  2 Mn 1.97, 3 Li 2.12-2.17, 1 Co 2.14
O: 0.0000 0.9204 0.1910  3 Co 1.98-2.07, 3 Li 2.12-2.15
O: 0.5000 0.9533 0.6812  2 Mn 1.97, 3 Li 2.12-2.17, 1 Co 2.14
O: 0.0000 0.0796 0.8090  3 Co 1.98-2.07, 3 Li 2.12-2.15
O: 0.5000 0.1963 0.9332  3 Co 1.99-2.14, 3 Li 2.10-2.12
O: 0.0000 0.3402 0.0570  3 Co 1.94-2.09, 3 Li 2.17
O: 0.5000 0.4460 0.1843  3 Co 2.00-2.12, 3 Li 2.09-2.11
O: 0.0000 0.8410 0.5687  1 Mn 1.83, 2 Li 2.01
O: 0.5000 0.7020 0.4306  2 Mn 1.95, 4 Li 2.08-2.16
O: 0.0000 0.6011 0.3106  2 Co 1.96, 1 Mn 2.07


3.
Density functional theory data (GGA+U) for crystalline CaV2O4 at its relaxed geometry.

ΔE to the lowest computed polymorph = 9 kJ/mol of formula units
Crystal system = orthorhombic
Space-group type = Pmmn, No. 59
E = -7.62 eV/atom
E_form = -269.0 kJ per mole of atoms

Cell lengths 5.2684, 6.0406, 11.1507 Å; angles 90.00, 90.00, 90.00 degrees
Closest atoms and distances in Å follow each position.
Sites, in units of the cell vectors:
Ca: 0.3447 0.0000 0.5000  6 O 2.35-2.43
Ca: 0.6553 0.5000 0.0000  6 O 2.35-2.43
Ca: 0.0286 0.0000 0.0000  6 O 2.37-2.43
Ca: 0.9714 0.5000 0.5000  6 O 2.37-2.43
V: 0.0105 0.5000 0.2393  6 O 2.02-2.12
V: 0.0105 0.5000 0.7607  6 O 2.02-2.12
V: 0.9895 0.0000 0.2607  6 O 2.02-2.12
V: 0.9895 0.0000 0.7393  6 O 2.02-2.12
V: 0.5000 0.2500 0.2500  6 O 2.04-2.13
V: 0.5000 0.7500 0.7500  6 O 2.04-2.13
V: 0.5000 0.7500 0.2500  6 O 2.04-2.13
V: 0.5000 0.2500 0.7500  6 O 2.04-2.13
O: 0.3446 0.5000 0.1511  3 V 2.02-2.04
O: 0.3446 0.5000 0.8489  3 V 2.02-2.04
O: 0.6554 0.0000 0.3489  3 V 2.02-2.04
O: 0.6554 0.0000 0.6511  3 V 2.02-2.04
O: 0.6810 0.5000 0.3377  3 V 2.04-2.05
O: 0.6810 0.5000 0.6623  3 V 2.04-2.05
O: 0.3190 0.0000 0.1623  3 V 2.04-2.05
O: 0.3190 0.0000 0.8377  3 V 2.04-2.05
O: 0.1616 0.2532 0.3538  3 V 2.06-2.13
O: 0.1616 0.7468 0.6462  3 V 2.06-2.13
O: 0.8384 0.7532 0.1462  3 V 2.06-2.13
O: 0.8384 0.2468 0.8538  3 V 2.06-2.13
O: 0.8384 0.2468 0.1462  3 V 2.06-2.13
O: 0.8384 0.7532 0.8538  3 V 2.06-2.13
O: 0.1616 0.7468 0.3538  3 V 2.06-2.13
O: 0.1616 0.2532 0.6462  3 V 2.06-2.13


4.
Density functional theory data (GGA+U) for crystalline LiFeP4O12 at its relaxed geometry.

ΔE to the lowest computed polymorph = 170 kJ/mol of formula units
Crystal system = monoclinic
Space-group type = P2_1/c, No. 14
E = -6.95 eV/atom
E_form = -236.6 kJ per mole of atoms

Cell lengths 13.1580, 7.2812, 11.7693 Å; angles 54.06, 90.00, 90.00 degrees
Closest atoms and distances in Å follow each position.
Sites, in units of the cell vectors:
Li: 0.2005 0.9444 0.0269  1 O 1.98
Li: 0.7005 0.0556 0.4731  1 O 1.98
Li: 0.2995 0.9444 0.5269  1 O 1.98
Li: 0.7995 0.0556 0.9731  1 O 1.98
Fe: 0.2904 0.5454 0.4378  5 O 1.94-2.16
Fe: 0.7904 0.4546 0.0622  5 O 1.94-2.16
Fe: 0.2096 0.5454 0.9378  5 O 1.94-2.16
Fe: 0.7096 0.4546 0.5622  5 O 1.94-2.16
P: 0.6183 0.8191 0.2596  4 O 1.48-1.61
P: 0.1303 0.4192 0.6933  4 O 1.50-1.61
P: 0.9120 0.4583 0.7075  4 O 1.48-1.62
P: 0.8997 0.0690 0.2220  4 O 1.52-1.59
P: 0.3997 0.9310 0.2780  4 O 1.52-1.59
P: 0.4120 0.5417 0.7925  4 O 1.48-1.62
P: 0.6303 0.5808 0.8067  4 O 1.50-1.61
P: 0.1183 0.1809 0.2404  4 O 1.48-1.61
P: 0.8817 0.8191 0.7596  4 O 1.48-1.61
P: 0.3697 0.4192 0.1933  4 O 1.50-1.61
P: 0.5880 0.4583 0.2075  4 O 1.48-1.62
P: 0.6003 0.0690 0.7220  4 O 1.52-1.59
P: 0.1003 0.9310 0.7780  4 O 1.52-1.59
P: 0.0880 0.5417 0.2925  4 O 1.48-1.62
P: 0.8697 0.5808 0.3067  4 O 1.50-1.61
P: 0.3817 0.1809 0.7404  4 O 1.48-1.61
O: 0.8776 0.8114 0.2953  2 P 1.56-1.61
O: 0.9018 0.2129 0.8210  1 P 1.48
O: 0.4161 0.4011 0.7285  2 P 1.59
O: 0.3268 0.8306 0.2267  1 P 1.53
O: 0.6920 0.9638 0.1449  1 P 1.48
O: 0.1446 0.3690 0.8351  1 P 1.50
O: 0.6451 0.7309 0.4097  1 P 1.53
O: 0.8897 0.2180 0.0627  1 P 1.52
O: 0.5120 0.9524 0.2218  2 P 1.59-1.61
O: 0.0206 0.5289 0.6273  2 P 1.61-1.62
O: 0.2083 0.5650 0.5800  1 P 1.52
O: 0.3343 0.4346 0.9105  1 P 1.52
O: 0.8343 0.5654 0.5895  1 P 1.52
O: 0.0120 0.0476 0.2782  2 P 1.59-1.61
O: 0.7083 0.4350 0.9200  1 P 1.52
O: 0.3897 0.7820 0.4373  1 P 1.52
O: 0.5206 0.4711 0.8727  2 P 1.61-1.62
O: 0.1451 0.2691 0.0903  1 P 1.53
O: 0.6446 0.6310 0.6649  1 P 1.50
O: 0.1920 0.0362 0.3551  1 P 1.48
O: 0.8268 0.1694 0.2733  1 P 1.53
O: 0.9161 0.5989 0.7715  2 P 1.59
O: 0.3776 0.1886 0.2047  2 P 1.56-1.61
O: 0.4018 0.7871 0.6790  1 P 1.48
O: 0.5982 0.2129 0.3210  1 P 1.48
O: 0.6224 0.8114 0.7953  2 P 1.56-1.61
O: 0.0839 0.4011 0.2285  2 P 1.59
O: 0.1732 0.8306 0.7267  1 P 1.53
O: 0.8080 0.9638 0.6449  1 P 1.48
O: 0.3554 0.3690 0.3351  1 P 1.50
O: 0.8549 0.7309 0.9097  1 P 1.53
O: 0.4794 0.5289 0.1273  2 P 1.61-1.62
O: 0.6103 0.2180 0.5627  1 P 1.52
O: 0.2917 0.5650 0.0800  1 P 1.52
O: 0.9880 0.9524 0.7218  2 P 1.59-1.61
O: 0.1657 0.4346 0.4105  1 P 1.52
O: 0.6657 0.5654 0.0895  1 P 1.52
O: 0.7917 0.4350 0.4200  1 P 1.52
O: 0.9794 0.4711 0.3727  2 P 1.61-1.62
O: 0.4880 0.0476 0.7782  2 P 1.59-1.61
O: 0.1103 0.7820 0.9373  1 P 1.52
O: 0.3549 0.2691 0.5903  1 P 1.53
O: 0.8554 0.6310 0.1649  1 P 1.50
O: 0.3080 0.0362 0.8551  1 P 1.48
O: 0.6732 0.1694 0.7733  1 P 1.53
O: 0.5839 0.5989 0.2715  2 P 1.59
O: 0.0982 0.7871 0.1790  1 P 1.48
O: 0.1224 0.1886 0.7047  2 P 1.56-1.61


5.
Density functional theory data (GGA+U) for crystalline Sr4MgMn4O10 at its relaxed geometry.

ΔE to the lowest computed polymorph = 32 kJ/mol of formula units
Crystal system = triclinic
Space-group type = P1, No. 1
E = -6.75 eV/atom
E_form = -240.0 kJ per mole of atoms

Cell lengths 5.7520, 5.7369, 9.1304 Å; angles 110.42, 103.38, 96.19 degrees
Closest atoms and distances in Å follow each position.
Sites, in units of the cell vectors:
Sr: 0.6290 0.1198 0.2328  6 O 2.56-2.76
Sr: 0.5103 0.8597 0.8206  7 O 2.41-2.63
Sr: 0.0966 0.6578 0.2222  6 O 2.52-2.74
Sr: 0.8856 0.4309 0.7868  6 O 2.53-2.78
Mg: 0.1243 0.0071 0.6515  4 O 2.02-2.14
Mn: 0.0547 0.0223 0.0227  5 O 1.97-2.11
Mn: 0.4985 0.4835 0.9925  3 O 1.95-2.01
Mn: 0.2133 0.3567 0.5013  4 O 1.99-2.18
Mn: 0.6350 0.7870 0.4765  4 O 2.01-2.20
O: 0.2380 0.1843 0.9122  2 Mn 1.95-1.98, 1 Mg 2.14
O: 0.2578 0.7636 0.9989  1 Mn 1.97
O: 0.8158 0.2441 0.0204  1 Mn 1.97
O: 0.7751 0.7531 0.0238  2 Mn 1.99-2.11
O: 0.2062 0.1489 0.2736  2 Mn 1.99-2.08
O: 0.8526 0.7858 0.6839  1 Mn 2.02, 1 Mg 2.05
O: 0.5635 0.5909 0.2351  2 Mn 2.01
O: 0.4146 0.3619 0.7284  2 Mn 2.12-2.18, 1 Mg 2.27
O: 0.8887 0.1280 0.5069  1 Mg 2.02, 2 Mn 2.18-2.20
O: 0.2875 0.7434 0.5240  1 Mg 2.03, 2 Mn 2.14-2.15


6.
Density functional theory data (GGA+U) for crystalline MoPCl5O3 at its relaxed geometry.

Crystal system = monoclinic
Space-group type = P2_1/c, No. 14
E = -4.79 eV/atom
E_form = -123.2 kJ per mole of atoms

Cell lengths 15.4934, 8.9001, 16.7029 Å; angles 64.04, 90.00, 90.00 degrees
Closest atoms and distances in Å follow each position.
Sites, in units of the cell vectors:
Mo: 0.4454 0.9838 0.7555  2 O 1.70-1.80
Mo: 0.3038 0.9588 0.2608  2 O 1.70-1.80
Mo: 0.9454 0.0162 0.7445  2 O 1.70-1.80
Mo: 0.8038 0.0412 0.2392  2 O 1.70-1.80
Mo: 0.1962 0.9588 0.7608  2 O 1.70-1.80
Mo: 0.6962 0.0412 0.7392  2 O 1.70-1.80
Mo: 0.0546 0.9838 0.2555  2 O 1.70-1.80
Mo: 0.5546 0.0162 0.2445  2 O 1.70-1.80
P: 0.1721 0.3631 0.5546  1 O 1.48
P: 0.4346 0.4565 0.6681  1 O 1.48
P: 0.0654 0.4565 0.1681  1 O 1.48
P: 0.3279 0.3631 0.0546  1 O 1.48
P: 0.5654 0.5435 0.3319  1 O 1.48
P: 0.6721 0.6369 0.9454  1 O 1.48
P: 0.9346 0.5435 0.8319  1 O 1.48
P: 0.8279 0.6369 0.4454  1 O 1.48
Cl: 0.6783 0.0840 0.8676  1 Mo 2.35
Cl: 0.1741 0.0802 0.8582  1 Mo 2.34
Cl: 0.9606 0.5010 0.2236  1 P 1.99
Cl: 0.0694 0.0039 0.1119  1 Mo 2.34
Cl: 0.0706 0.3321 0.4905  1 P 1.99
Cl: 0.8217 0.0840 0.3676  1 Mo 2.35
Cl: 0.1783 0.9160 0.6324  1 Mo 2.35
Cl: 0.4606 0.4990 0.2764  1 P 1.99
Cl: 0.2260 0.3452 0.9868  1 P 1.99
Cl: 0.4324 0.6384 0.5443  1 P 1.99
Cl: 0.3353 0.5033 0.7296  1 P 1.99
Cl: 0.4294 0.3321 0.9905  1 P 1.99
Cl: 0.0676 0.6384 0.0443  1 P 1.99
Cl: 0.2740 0.3452 0.4868  1 P 1.99
Cl: 0.4306 0.0039 0.6119  1 Mo 2.34
Cl: 0.5781 0.9463 0.1261  1 Mo 2.35
Cl: 0.9306 0.9961 0.8881  1 Mo 2.34
Cl: 0.8319 0.3982 0.4667  1 P 2.00
Cl: 0.8353 0.4967 0.7704  1 P 1.99
Cl: 0.3319 0.6018 0.0333  1 P 2.00
Cl: 0.8259 0.9198 0.1418  1 Mo 2.34
Cl: 0.0781 0.0537 0.3739  1 Mo 2.35
Cl: 0.3259 0.0802 0.3582  1 Mo 2.34
Cl: 0.7740 0.6548 0.0132  1 P 1.99
Cl: 0.6647 0.4967 0.2704  1 P 1.99
Cl: 0.9294 0.6679 0.5095  1 P 1.99
Cl: 0.3217 0.9160 0.1324  1 Mo 2.35
Cl: 0.0394 0.4990 0.7764  1 P 1.99
Cl: 0.5706 0.6679 0.0095  1 P 1.99
Cl: 0.6681 0.3982 0.9667  1 P 2.00
Cl: 0.9219 0.9463 0.6261  1 Mo 2.35
Cl: 0.1681 0.6018 0.5333  1 P 2.00
Cl: 0.5676 0.3616 0.4557  1 P 1.99
Cl: 0.9324 0.3616 0.9557  1 P 1.99
Cl: 0.6741 0.9198 0.6418  1 Mo 2.34
Cl: 0.7260 0.6548 0.5132  1 P 1.99
Cl: 0.5394 0.5010 0.7236  1 P 1.99
Cl: 0.5694 0.9961 0.3881  1 Mo 2.34
Cl: 0.1647 0.5033 0.2296  1 P 1.99
Cl: 0.4219 0.0537 0.8739  1 Mo 2.35
O: 0.1995 0.7542 0.8366  1 Mo 1.70
O: 0.3089 0.0106 0.7438  1 Mo 1.80
O: 0.6743 0.7511 0.8489  1 P 1.48
O: 0.5674 0.7114 0.3299  1 P 1.48
O: 0.6911 0.9894 0.2562  1 Mo 1.80
O: 0.5566 0.2281 0.1856  1 Mo 1.70
O: 0.6995 0.2458 0.6634  1 Mo 1.70
O: 0.3257 0.2489 0.1511  1 P 1.48
O: 0.0566 0.7719 0.3144  1 Mo 1.70
O: 0.8089 0.9894 0.7562  1 Mo 1.80
O: 0.0674 0.2886 0.1701  1 P 1.48
O: 0.8005 0.2458 0.1634  1 Mo 1.70
O: 0.4326 0.2886 0.6701  1 P 1.48
O: 0.0594 0.9744 0.7533  1 Mo 1.80
O: 0.1911 0.0106 0.2438  1 Mo 1.80
O: 0.1743 0.2489 0.6511  1 P 1.48
O: 0.9326 0.7114 0.8299  1 P 1.48
O: 0.9434 0.2281 0.6856  1 Mo 1.70
O: 0.4434 0.7719 0.8144  1 Mo 1.70
O: 0.8257 0.7511 0.3489  1 P 1.48
O: 0.9406 0.0256 0.2467  1 Mo 1.80
O: 0.4406 0.9744 0.2533  1 Mo 1.80
O: 0.3005 0.7542 0.3366  1 Mo 1.70
O: 0.5594 0.0256 0.7467  1 Mo 1.80